Density functional theory data (PBE with a Hubbard U) for Li2MnCr3O8 after structural relaxation.

formation energy	-30.7	eV per formula unit
space-group type	No. 186
E	-198.06	eV/cell

Unit cell a=5.8830 b=5.8830 c=9.3675 alpha=90.00 beta=90.00 gamma=120.00
Sites, in units of the cell vectors:
O  0.0000  0.0000  0.3086
O  0.8331  0.6662  0.1002
O  0.4784  0.9569  0.3445
O  0.6662  0.8331  0.6002
O  0.1669  0.3338  0.6002
O  0.5216  0.4784  0.8445
O  0.8331  0.1669  0.1002
O  0.5216  0.0431  0.8445
O  0.1669  0.8331  0.6002
O  0.3333  0.6667  0.1031
O  0.6667  0.3333  0.6031
O  0.9569  0.4784  0.8445
O  0.0431  0.5216  0.3445
O  0.4784  0.5216  0.3445
O  0.0000  0.0000  0.8086
O  0.3338  0.1669  0.1002
Cr  0.8304  0.6608  0.7109
Cr  0.1696  0.3392  0.2109
Cr  0.3392  0.1696  0.7109
Cr  0.8304  0.1696  0.7109
Cr  0.1696  0.8304  0.2109
Cr  0.6608  0.8304  0.2109
Mn  0.3333  0.6667  0.4826
Mn  0.6667  0.3333  0.9826
Li  0.6667  0.3333  0.3970
Li  0.0000  0.0000  0.4959
Li  0.0000  0.0000  0.9959
Li  0.3333  0.6667  0.8970

***

Density functional theory data (PBE with a Hubbard U) for Fe5O7F3 after structural relaxation.

formation energy	-25.9	eV per formula unit
space-group type	No. 1
E	-182.28	eV/cell

Unit cell a=4.6740 b=4.6761 c=15.2009 alpha=89.86 beta=89.95 gamma=88.34
Sites, in units of the cell vectors:
Fe  0.5131  0.5297  0.7058
Fe  0.0087  0.9713  0.4047
Fe  0.4690  0.4726  0.0990
Fe  0.9957  0.9998  0.9997
Fe  0.0089  0.9727  0.5949
Fe  0.5178  0.5221  0.9014
Fe  0.4756  0.5088  0.5004
Fe  0.5190  0.5354  0.2936
Fe  0.9946  0.0035  0.2003
Fe  0.9796  0.9883  0.7991
O  0.8122  0.8188  0.9034
O  0.6971  0.3159  0.8026
O  0.2947  0.6945  0.1960
O  0.1968  0.1884  0.5013
O  0.6890  0.3055  0.1977
O  0.6852  0.3057  0.9997
O  0.8148  0.8122  0.6976
O  0.3075  0.7056  0.8049
O  0.8181  0.8193  0.2980
O  0.1724  0.1775  0.0994
O  0.3002  0.6892  0.0000
O  0.3145  0.6871  0.6044
O  0.8014  0.7880  0.5001
O  0.3188  0.6874  0.3960
F  0.2039  0.2016  0.3013
F  0.7052  0.3018  0.3976
F  0.2003  0.2000  0.7001
F  0.7000  0.2989  0.6026
F  0.7893  0.7968  0.0997
F  0.1965  0.2019  0.8988

***

Density functional theory data (PBE with a Hubbard U) for Sr10Cu5Mo3W2O30 after structural relaxation.

formation energy	-120.3	eV per formula unit
space-group type	No. 2
E	-325.49	eV/cell

Unit cell a=5.4949 b=5.7527 c=23.2200 alpha=92.75 beta=96.81 gamma=61.46
Sites, in units of the cell vectors:
Sr  0.7502  0.7500  0.2503
Sr  0.8500  0.8501  0.5501
Sr  0.0501  0.0499  0.1499
Sr  0.3499  0.3501  0.0501
Sr  0.1500  0.1501  0.4501
Sr  0.5500  0.5499  0.6499
Sr  0.4502  0.4501  0.3505
Sr  0.2500  0.2499  0.7499
Sr  0.9498  0.9499  0.8495
Sr  0.6498  0.6500  0.9497
O  0.4284  0.9208  0.3598
O  0.5716  0.0795  0.6402
O  0.2624  0.7212  0.2460
O  0.2842  0.3748  0.5418
O  0.4627  0.9205  0.8459
O  0.3719  0.8799  0.0401
O  0.9160  0.8253  0.0583
O  0.0622  0.5214  0.6459
O  0.7721  0.2791  0.2403
O  0.7156  0.6253  0.4582
O  0.5379  0.0783  0.1541
O  0.9373  0.4795  0.3541
O  0.6844  0.7747  0.7418
O  0.3378  0.8786  0.5541
O  0.1158  0.0252  0.6582
O  0.1376  0.6788  0.9540
O  0.7379  0.2784  0.7541
O  0.0281  0.5201  0.1599
O  0.8621  0.3217  0.0459
O  0.8284  0.3205  0.5598
O  0.6621  0.1216  0.4459
O  0.2284  0.7203  0.7598
O  0.5155  0.4251  0.8582
O  0.3159  0.2248  0.2584
O  0.9716  0.4792  0.8402
O  0.8845  0.9749  0.3418
O  0.4840  0.5747  0.1417
O  0.1716  0.6797  0.4402
O  0.0841  0.1752  0.9416
O  0.6279  0.1209  0.9597
Mo  0.6002  0.5997  0.8000
Mo  0.2000  0.2000  0.6000
Mo  0.7998  0.8003  0.4000
W  0.4008  0.3989  0.2003
W  0.9992  0.0011  0.9997
Cu  0.1001  0.0997  0.3005
Cu  0.4999  0.5001  0.5000
Cu  0.2999  0.3003  0.8995
Cu  0.9001  0.8999  0.7000
Cu  0.7000  0.7000  0.1000

***

Density functional theory data (PBE with a Hubbard U) for MnOF after structural relaxation.

formation energy	-7.1	eV per formula unit
space-group type	No. 92
maximum piezoelectric response	0.0	C/m2
E	-81.11	eV/cell

Unit cell a=4.6468 b=4.6468 c=6.2749 alpha=90.00 beta=90.00 gamma=90.00
Sites, in units of the cell vectors:
O  0.1760  0.8240  0.7500
O  0.6760  0.6760  0.0000
O  0.3240  0.3240  0.5000
O  0.8240  0.1760  0.2500
F  0.7248  0.7248  0.5000
F  0.7752  0.2248  0.7500
F  0.2248  0.7752  0.2500
F  0.2752  0.2752  0.0000
Mn  0.4718  0.5282  0.7500
Mn  0.5282  0.4718  0.2500
Mn  0.0282  0.0282  0.5000
Mn  0.9718  0.9718  0.0000

***

Density functional theory data (PBE with a Hubbard U) for ZnCr2O6 after structural relaxation.

formation energy	-14.1	eV per formula unit
space-group type	No. 31
E	-112.53	eV/cell

Unit cell a=5.0072 b=5.3667 c=7.1937 alpha=90.00 beta=90.00 gamma=90.00
Sites, in units of the cell vectors:
Zn  0.5317  0.2899  0.5000
Zn  0.0317  0.7101  0.0000
O  0.8787  0.2544  0.0000
O  0.6458  0.7610  0.0000
O  0.2485  0.4879  0.8158
O  0.2004  0.9582  0.1866
O  0.7485  0.5121  0.3158
O  0.2485  0.4879  0.1842
O  0.7004  0.0418  0.6866
O  0.2004  0.9582  0.8134
O  0.7004  0.0418  0.3134
O  0.1458  0.2390  0.5000
O  0.7485  0.5121  0.6842
O  0.3787  0.7456  0.5000
Cr  0.0284  0.2380  0.7618
Cr  0.0284  0.2380  0.2382
Cr  0.5284  0.7620  0.2618
Cr  0.5284  0.7620  0.7382

***

Density functional theory data (PBE with a Hubbard U) for CaV3P3O13 after structural relaxation.

formation energy	-56.4	eV per formula unit
space-group type	No. 11
E	-304.35	eV/cell

Unit cell a=6.3858 b=7.6556 c=10.4967 alpha=80.01 beta=90.00 gamma=90.00
Sites, in units of the cell vectors:
O  0.4377  0.3806  0.7875
O  0.7500  0.0214  0.5873
O  0.0601  0.7497  0.5828
O  0.4520  0.2117  0.0953
O  0.2500  0.3589  0.2530
O  0.0623  0.3806  0.7875
O  0.7500  0.9108  0.1314
O  0.5601  0.2503  0.4172
O  0.2500  0.5074  0.0326
O  0.2500  0.2095  0.6299
O  0.2500  0.0892  0.8686
O  0.7500  0.6411  0.7470
O  0.9399  0.2503  0.4172
O  0.7500  0.4926  0.9674
O  0.7500  0.7905  0.3701
O  0.2500  0.9786  0.4127
O  0.5480  0.7883  0.9047
O  0.5623  0.6194  0.2125
O  0.2500  0.8779  0.0898
O  0.2500  0.6582  0.3903
O  0.7500  0.3418  0.6097
O  0.4399  0.7497  0.5828
O  0.9377  0.6194  0.2125
O  0.9520  0.7883  0.9047
O  0.0480  0.2117  0.0953
O  0.7500  0.1221  0.9102
Ca  0.7500  0.3453  0.1936
Ca  0.2500  0.6547  0.8064
V  0.0000  0.0000  0.0000
V  0.7500  0.7794  0.5625
V  0.5000  0.0000  0.0000
V  0.2500  0.6417  0.1990
V  0.2500  0.2206  0.4375
V  0.7500  0.3584  0.8010
P  0.2500  0.2608  0.7631
P  0.2500  0.7853  0.4873
P  0.7500  0.7392  0.2369
P  0.7500  0.2147  0.5127
P  0.7500  0.6831  0.8879
P  0.2500  0.3169  0.1121

***

Density functional theory data (PBE with a Hubbard U) for KCr2HC10O10 after structural relaxation.

formation energy	-16.2	eV per formula unit
space-group type	No. 2
E	-683.59	eV/cell

Unit cell a=6.9791 b=8.5865 c=28.7119 alpha=91.28 beta=94.20 gamma=100.55
Sites, in units of the cell vectors:
Cr  0.1335  0.6883  0.0156
Cr  0.9852  0.1066  0.2800
Cr  0.1225  0.1899  0.4857
Cr  0.0148  0.8934  0.7200
Cr  0.8087  0.7954  0.2086
Cr  0.1913  0.2046  0.7914
Cr  0.8665  0.3117  0.9844
Cr  0.8775  0.8101  0.5143
O  0.9863  0.6712  0.4227
O  0.7349  0.4923  0.1486
O  0.2651  0.5077  0.8514
O  0.5737  0.3323  0.7472
O  0.4887  0.1365  0.5442
O  0.6034  0.9965  0.1413
O  0.9978  0.3633  0.7107
O  0.8575  0.6924  0.8018
O  0.9573  0.7476  0.9180
O  0.6601  0.4993  0.5481
O  0.2375  0.2456  0.9417
O  0.3481  0.0199  0.0457
O  0.0137  0.3288  0.5773
O  0.5113  0.8635  0.4558
O  0.6519  0.9801  0.9543
O  0.0427  0.2524  0.0820
O  0.1792  0.0121  0.2897
O  0.4263  0.6677  0.2528
O  0.8100  0.0827  0.8372
O  0.2312  0.0210  0.3989
O  0.7415  0.2505  0.4338
O  0.2585  0.7495  0.5662
O  0.1425  0.3076  0.1982
O  0.7211  0.4394  0.8918
O  0.2789  0.5606  0.1082
O  0.4730  0.6219  0.9603
O  0.7688  0.9790  0.6011
O  0.5270  0.3781  0.0397
O  0.1900  0.9173  0.1628
O  0.8208  0.9879  0.7103
O  0.9126  0.6146  0.6507
O  0.7625  0.7544  0.0583
O  0.0022  0.6367  0.2893
O  0.0874  0.3854  0.3493
O  0.3399  0.5007  0.4519
O  0.3842  0.7528  0.7547
O  0.2906  0.0808  0.6525
O  0.7094  0.9192  0.3475
O  0.3966  0.0035  0.8587
O  0.6158  0.2472  0.2453
C  0.2557  0.3825  0.4661
C  0.2359  0.3883  0.8290
C  0.2254  0.6088  0.0728
C  0.7641  0.6117  0.1710
C  0.9515  0.1289  0.8186
C  0.0279  0.7360  0.9556
C  0.3498  0.1529  0.5208
C  0.7746  0.3912  0.9272
C  0.2554  0.8161  0.7431
C  0.1898  0.0849  0.4319
C  0.7443  0.6175  0.5339
C  0.8102  0.9151  0.5681
C  0.9629  0.7184  0.6782
C  0.9110  0.7303  0.0419
C  0.1827  0.0163  0.6779
C  0.7309  0.1063  0.9676
C  0.2691  0.8937  0.0324
C  0.1641  0.0446  0.9391
C  0.8839  0.2253  0.4535
C  0.0647  0.3008  0.7419
C  0.4304  0.2783  0.7641
C  0.0890  0.2697  0.9581
C  0.3483  0.6440  0.9831
C  0.7446  0.1839  0.2569
C  0.8359  0.9554  0.0609
C  0.0519  0.2768  0.5418
C  0.6502  0.8471  0.4792
C  0.6517  0.3560  0.0169
C  0.6805  0.9176  0.1662
C  0.9097  0.7707  0.7710
C  0.0903  0.2293  0.2290
C  0.0371  0.2816  0.3218
C  0.3195  0.0824  0.8338
C  0.9353  0.6992  0.2581
C  0.0485  0.8711  0.1814
C  0.5696  0.7217  0.2359
C  0.9721  0.2640  0.0444
C  0.8173  0.9837  0.3221
C  0.9481  0.7232  0.4582
C  0.1161  0.7747  0.5465
H  0.0000  0.5000  0.0000
H  0.9825  0.9573  0.0803
H  0.0000  0.0000  0.5000
H  0.0175  0.0427  0.9197
K  0.5925  0.7573  0.8715
K  0.3247  0.7107  0.3647
K  0.4075  0.2427  0.1285
K  0.6753  0.2893  0.6353

***

Density functional theory data (PBE with a Hubbard U) for LiMnP4O12 after structural relaxation.

formation energy	-44.2	eV per formula unit
space-group type	No. 134
E	-505.59	eV/cell

Unit cell a=9.3147 b=9.3147 c=9.3328 alpha=90.00 beta=90.00 gamma=90.00
Sites, in units of the cell vectors:
P  0.7306  0.5000  0.5000
P  0.7215  0.5000  0.0000
P  0.5000  0.2785  0.0000
P  0.7785  0.0000  0.5000
P  0.2785  0.5000  0.0000
P  0.5000  0.2694  0.5000
P  0.0000  0.7785  0.5000
P  0.2306  0.0000  0.0000
P  0.2215  0.0000  0.5000
P  0.0000  0.7694  0.0000
P  0.0000  0.2306  0.0000
P  0.5000  0.7215  0.0000
P  0.7694  0.0000  0.0000
P  0.5000  0.7306  0.5000
P  0.0000  0.2215  0.5000
P  0.2694  0.5000  0.5000
O  0.8794  0.8794  0.0635
O  0.5623  0.8094  0.6254
O  0.8857  0.8857  0.5731
O  0.4377  0.8094  0.3746
O  0.3794  0.3794  0.4365
O  0.2003  0.5727  0.8791
O  0.7003  0.0727  0.6209
O  0.7997  0.5727  0.1209
O  0.8094  0.5623  0.6254
O  0.9377  0.6906  0.8746
O  0.2003  0.4273  0.1209
O  0.7997  0.4273  0.8791
O  0.8857  0.1143  0.4269
O  0.0623  0.3094  0.8746
O  0.6143  0.3857  0.0731
O  0.1143  0.8857  0.4269
O  0.9273  0.7003  0.3791
O  0.1206  0.1206  0.0635
O  0.5727  0.7997  0.1209
O  0.2997  0.0727  0.3791
O  0.8094  0.4377  0.3746
O  0.1906  0.4377  0.6254
O  0.8794  0.1206  0.9365
O  0.1143  0.1143  0.5731
O  0.0727  0.7003  0.6209
O  0.1906  0.5623  0.3746
O  0.9273  0.2997  0.6209
O  0.3857  0.3857  0.9269
O  0.7003  0.9273  0.3791
O  0.4273  0.7997  0.8791
O  0.6206  0.3794  0.5635
O  0.6206  0.6206  0.4365
O  0.0727  0.2997  0.3791
O  0.6906  0.0623  0.1254
O  0.4377  0.1906  0.6254
O  0.5727  0.2003  0.8791
O  0.4273  0.2003  0.1209
O  0.6906  0.9377  0.8746
O  0.1206  0.8794  0.9365
O  0.3857  0.6143  0.0731
O  0.3094  0.9377  0.1254
O  0.6143  0.6143  0.9269
O  0.2997  0.9273  0.6209
O  0.3094  0.0623  0.8746
O  0.5623  0.1906  0.3746
O  0.9377  0.3094  0.1254
O  0.3794  0.6206  0.5635
O  0.0623  0.6906  0.1254
Li  0.2500  0.7500  0.7500
Li  0.2500  0.2500  0.2500
Li  0.7500  0.7500  0.2500
Li  0.7500  0.2500  0.7500
Mn  0.5000  0.0000  0.7500
Mn  0.0000  0.5000  0.7500
Mn  0.5000  0.0000  0.2500
Mn  0.0000  0.5000  0.2500

***

Density functional theory data (PBE with a Hubbard U) for Li9Mn2Co5O16 after structural relaxation.

formation energy	-58.8	eV per formula unit
space-group type	No. 10
E	-186.51	eV/cell

Unit cell a=5.8323 b=5.8880 c=8.3842 alpha=88.99 beta=90.00 gamma=90.00
Sites, in units of the cell vectors:
Co  0.7426  0.2561  0.7416
Co  0.7426  0.7439  0.2584
Co  0.5000  0.0000  0.0000
Co  0.2574  0.2561  0.7416
Co  0.2574  0.7439  0.2584
O  0.7666  0.2629  0.5078
O  0.5000  0.4746  0.7604
O  0.7587  0.2273  0.9976
O  0.5000  0.0088  0.7540
O  0.2334  0.2629  0.5078
O  0.7587  0.7727  0.0024
O  0.7666  0.7371  0.4922
O  0.0000  0.9760  0.2324
O  0.2334  0.7371  0.4922
O  0.5000  0.9912  0.2460
O  0.2413  0.7727  0.0024
O  0.2413  0.2273  0.9976
O  0.5000  0.5254  0.2396
O  0.0000  0.5020  0.2670
O  0.0000  0.4980  0.7330
O  0.0000  0.0240  0.7676
Li  0.0000  0.5000  0.0000
Li  0.7439  0.2499  0.2578
Li  0.2561  0.7501  0.7422
Li  0.5000  0.5000  0.0000
Li  0.7439  0.7501  0.7422
Li  0.5000  0.0000  0.5000
Li  0.5000  0.5000  0.5000
Li  0.2561  0.2499  0.2578
Li  0.0000  0.0000  0.5000
Mn  0.0000  0.5000  0.5000
Mn  0.0000  0.0000  0.0000